No. 1
# Pr2HfS5 (PBE, optimized geometry)
# DFT total energy in eV per cell: -221.4
# ΔE_f in eV/atom: -2.21
# Crystal system: orthorhombic
# MP2020-corrected energy in eV/atom: -7.23
data_Pr2HfS5
_space_group_name_H-M_alt 'P n m a'
_space_group_IT_number 62
_space_group_name_Hall '-P 2ac 2n'
_cell_length_a 11.7624
_cell_length_b 8.0193
_cell_length_c 7.4313
_cell_angle_alpha 90.00
_cell_angle_beta 90.00
_cell_angle_gamma 90.00
loop_
_atom_site_label
_atom_site_fract_x
_atom_site_fract_y
_atom_site_fract_z
Pr1 0.1769 0.0015 0.0283
Hf1 0.0066 0.7500 0.5739
S1 0.0056 0.7500 0.9393
S2 0.0869 0.0346 0.6595
S3 0.1797 0.7500 0.3392
S4 0.2038 0.2500 0.3174

No. 2
# Np2InPd2 (PBE, optimized geometry)
# DFT total energy in eV per cell: -79.9
# Size of the total moment in μB/f.u.: 7.87
# ΔE_f in eV/atom: -0.19
# Crystal system: tetragonal
data_Np2InPd2
_space_group_name_H-M_alt 'P 4/m b m'
_space_group_IT_number 127
_space_group_name_Hall '-P 4 2ab'
_cell_length_a 7.6688
_cell_length_b 7.6688
_cell_length_c 3.8107
_cell_angle_alpha 90.00
_cell_angle_beta 90.00
_cell_angle_gamma 90.00
loop_
_atom_site_label
_atom_site_fract_x
_atom_site_fract_y
_atom_site_fract_z
Np1 0.1725 0.3275 0.0000
In1 0.0000 0.0000 0.5000
Pd1 0.1300 0.6300 0.5000

No. 3
# PrH20S4N5O16 (PBE, optimized geometry)
# DFT total energy in eV per cell: -1039.6
# Size of the total moment in μB/f.u.: 0.00
# ΔE_f in eV/atom: -1.32
# E above lowest polymorph in eV per atom: 0.0035
# Crystal system: monoclinic
# MP2020-corrected energy in eV/atom: -5.89
data_PrH20S4N5O16
_space_group_name_H-M_alt 'C 1 2/c 1'
_space_group_IT_number 15
_space_group_name_Hall '-C 2yc'
_cell_length_a 8.1719
_cell_length_b 23.1679
_cell_length_c 9.4829
_cell_angle_alpha 90.00
_cell_angle_beta 109.68
_cell_angle_gamma 90.00
loop_
_atom_site_label
_atom_site_fract_x
_atom_site_fract_y
_atom_site_fract_z
Pr1 0.0000 0.0761 0.2500
H1 0.0249 0.4369 0.5488
H2 0.0360 0.2121 0.5514
H3 0.0504 0.2806 0.3436
H4 0.0695 0.1559 0.9110
H5 0.0967 0.3320 0.2387
H6 0.1089 0.2252 0.8600
H7 0.1349 0.4076 0.8982
H8 0.1607 0.4755 0.9706
H9 0.1637 0.4186 0.0820
H10 0.1738 0.2050 0.0433
S1 0.1621 0.0611 0.6208
S2 0.2067 0.3222 0.6665
N1 0.0000 0.3056 0.2500
N2 0.0798 0.1992 0.9379
N3 0.1074 0.4349 0.9741
O1 0.0199 0.0756 0.9745
O2 0.0353 0.3200 0.5487
O3 0.1478 0.1748 0.3960
O4 0.1705 0.0082 0.7119
O5 0.2266 0.3766 0.7601
O6 0.2290 0.2708 0.7665
O7 0.2388 0.1096 0.7247
O8 0.2423 0.4498 0.4879

No. 4
# LaOsN3 (PBE, optimized geometry)
# DFT total energy in eV per cell: -171.9
# Size of the total moment in μB/f.u.: 0.00
# ΔE_f in eV/atom: -0.58
# Crystal system: orthorhombic
# MP2020-corrected energy in eV/atom: -8.81
data_LaOsN3
_space_group_name_H-M_alt 'P n m a'
_space_group_IT_number 62
_space_group_name_Hall '-P 2ac 2n'
_cell_length_a 5.5740
_cell_length_b 7.9200
_cell_length_c 5.5788
_cell_angle_alpha 90.00
_cell_angle_beta 90.00
_cell_angle_gamma 90.00
loop_
_atom_site_label
_atom_site_fract_x
_atom_site_fract_y
_atom_site_fract_z
La1 0.0168 0.2500 0.0005
Os1 0.0000 0.0000 0.5000
N1 0.0036 0.7500 0.4563
N2 0.2225 0.5220 0.7778

No. 5
# Fe9B4Rh3 (PBE, optimized geometry)
# DFT total energy in eV per cell: -128.4
# Size of the total moment in μB/f.u.: 20.79
# ΔE_f in eV/atom: -0.21
# Crystal system: monoclinic
data_Fe9B4Rh3
_space_group_name_H-M_alt 'P 1 m 1'
_space_group_IT_number 6
_space_group_name_Hall 'P -2y'
_cell_length_a 4.4957
_cell_length_b 6.8780
_cell_length_c 5.4592
_cell_angle_alpha 90.00
_cell_angle_beta 90.23
_cell_angle_gamma 90.00
loop_
_atom_site_label
_atom_site_fract_x
_atom_site_fract_y
_atom_site_fract_z
Fe1 0.0000 0.0000 0.0000
Fe2 0.0186 0.3066 0.7046
Fe3 0.2335 0.3078 0.1994
Fe4 0.5224 0.1856 0.8529
Fe5 0.7367 0.1879 0.3459
B1 0.2968 0.5000 0.9040
B2 0.4489 0.0000 0.1487
B3 0.7965 0.0000 0.6463
B4 0.9565 0.5000 0.4078
Rh1 0.2422 0.0000 0.4992
Rh2 0.5062 0.5000 0.5532
Rh3 0.7460 0.5000 0.0527

No. 6
# ZrO (PBE, optimized geometry)
# DFT total energy in eV per cell: -71.1
# Size of the total moment in μB/f.u.: 0.01
# ΔE_f in eV/atom: -2.48
# Crystal system: cubic
# MP2020-corrected energy in eV/atom: -9.23
data_ZrO
_space_group_name_H-M_alt 'F -4 3 m'
_space_group_IT_number 216
_space_group_name_Hall 'F -4 2 3'
_cell_length_a 5.0267
_cell_length_b 5.0267
_cell_length_c 5.0267
_cell_angle_alpha 90.00
_cell_angle_beta 90.00
_cell_angle_gamma 90.00
loop_
_atom_site_label
_atom_site_fract_x
_atom_site_fract_y
_atom_site_fract_z
Zr1 0.0000 0.0000 0.0000
O1 0.2500 0.2500 0.7500

No. 7
# K2HRuCl5 (PBE, optimized geometry)
# DFT total energy in eV per cell: -134.4
# Size of the total moment in μB/f.u.: 2.00
# ΔE_f in eV/atom: -1.39
# Crystal system: orthorhombic
# MP2020-corrected energy in eV/atom: -4.07
data_K2HRuCl5
_space_group_name_H-M_alt 'P n m a'
_space_group_IT_number 62
_space_group_name_Hall '-P 2ac 2n'
_cell_length_a 13.7667
_cell_length_b 9.3136
_cell_length_c 7.3626
_cell_angle_alpha 90.00
_cell_angle_beta 90.00
_cell_angle_gamma 90.00
loop_
_atom_site_label
_atom_site_fract_x
_atom_site_fract_y
_atom_site_fract_z
K1 0.1485 0.9996 0.1485
H1 0.0094 0.2500 0.5559
Ru1 0.1027 0.2500 0.6850
Cl1 0.0010 0.7500 0.0544
Cl2 0.0969 0.0041 0.6769
Cl3 0.2034 0.2500 0.4215
Cl4 0.2471 0.7500 0.3957

No. 8
# VSi2 (PBE, optimized geometry)
# DFT total energy in eV per cell: -64.2
# ΔE_f in eV/atom: -0.44
# Crystal system: hexagonal
# MP2020-corrected energy in eV/atom: -7.08
data_VSi2
_space_group_name_H-M_alt 'P 62 2 2'
_space_group_IT_number 180
_space_group_name_Hall 'P 62 2 (0 0 4)'
_cell_length_a 4.5647
_cell_length_b 4.5647
_cell_length_c 6.3718
_cell_angle_alpha 90.00
_cell_angle_beta 90.00
_cell_angle_gamma 120.00
loop_
_atom_site_label
_atom_site_fract_x
_atom_site_fract_y
_atom_site_fract_z
V1 0.0000 0.5000 0.1667
Si1 0.1628 0.3257 0.5000

No. 9
# LaMgSe3 (PBE, optimized geometry)
# DFT total energy in eV per cell: -91.2
# Size of the total moment in μB/f.u.: 0.00
# ΔE_f in eV/atom: -1.44
# Crystal system: monoclinic
# MP2020-corrected energy in eV/atom: -4.84
data_LaMgSe3
_space_group_name_H-M_alt 'C 1 2/m 1'
_space_group_IT_number 12
_space_group_name_Hall '-C 2y'
_cell_length_a 8.0285
_cell_length_b 12.3526
_cell_length_c 6.8178
_cell_angle_alpha 90.00
_cell_angle_beta 114.78
_cell_angle_gamma 90.00
loop_
_atom_site_label
_atom_site_fract_x
_atom_site_fract_y
_atom_site_fract_z
La1 0.1946 0.0000 0.3074
Mg1 0.0000 0.3339 0.0000
Se1 0.0333 0.5000 0.2565
Se2 0.0741 0.1712 0.7906

No. 10
# IF7 (PBE, optimized geometry)
# DFT total energy in eV per cell: -99.4
# Size of the total moment in μB/f.u.: 0.00
# ΔE_f in eV/atom: -1.64
# E above lowest polymorph in eV per atom: 0.0472
# Crystal system: orthorhombic
# MP2020-corrected energy in eV/atom: -3.51
data_IF7
_space_group_name_H-M_alt 'P 2 2 21'
_space_group_IT_number 17
_space_group_name_Hall 'P 2c 2'
_cell_length_a 7.5377
_cell_length_b 7.8027
_cell_length_c 7.5965
_cell_angle_alpha 90.00
_cell_angle_beta 90.00
_cell_angle_gamma 90.00
loop_
_atom_site_label
_atom_site_fract_x
_atom_site_fract_y
_atom_site_fract_z
I1 0.2331 0.0000 0.0000
I2 0.2343 0.5000 0.5000
F1 0.0310 0.1185 0.9151
F2 0.0321 0.3843 0.4128
F3 0.2529 0.4559 0.7395
F4 0.2568 0.0276 0.2413
F5 0.2943 0.2335 0.0009
F6 0.2966 0.2665 0.4866
F7 0.4823 0.0000 0.0000
F8 0.4836 0.5000 0.5000

No. 11
# LaGe2Rh (PBE, optimized geometry)
# DFT total energy in eV per cell: -99.9
# ΔE_f in eV/atom: -0.86
# Crystal system: orthorhombic
data_LaGe2Rh
_space_group_name_H-M_alt 'C m c m'
_space_group_IT_number 63
_space_group_name_Hall '-C 2c 2'
_cell_length_a 4.4166
_cell_length_b 17.3903
_cell_length_c 4.3868
_cell_angle_alpha 90.00
_cell_angle_beta 90.00
_cell_angle_gamma 90.00
loop_
_atom_site_label
_atom_site_fract_x
_atom_site_fract_y
_atom_site_fract_z
La1 0.0000 0.1079 0.2500
Ge1 0.0000 0.2504 0.7500
Ge2 0.0000 0.4582 0.2500
Rh1 0.0000 0.3188 0.2500

No. 12
# Na3B6BrO10 (PBE, optimized geometry)
# DFT total energy in eV per cell: -566.4
# Size of the total moment in μB/f.u.: 0.00
# ΔE_f in eV/atom: -2.67
# Crystal system: orthorhombic
# MP2020-corrected energy in eV/atom: -7.42
data_Na3B6BrO10
_space_group_name_H-M_alt 'P n m a'
_space_group_IT_number 62
_space_group_name_Hall '-P 2ac 2n'
_cell_length_a 12.8788
_cell_length_b 9.9915
_cell_length_c 7.5798
_cell_angle_alpha 90.00
_cell_angle_beta 90.00
_cell_angle_gamma 90.00
loop_
_atom_site_label
_atom_site_fract_x
_atom_site_fract_y
_atom_site_fract_z
Na1 0.0000 0.0000 0.0000
Na2 0.0000 0.0000 0.5000
Na3 0.2033 0.2500 0.1473
B1 0.0049 0.2500 0.7427
B2 0.1629 0.6193 0.2508
B3 0.1838 0.2500 0.6051
B4 0.2306 0.0178 0.5121
Br1 0.0438 0.7500 0.7879
O1 0.0483 0.6298 0.2591
O2 0.1105 0.2500 0.7515
O3 0.1705 0.1304 0.4934
O4 0.1865 0.5107 0.1275
O5 0.2059 0.7500 0.1788
O6 0.2081 0.5982 0.4243

Which of these has the highest ΔE_f?
Np2InPd2

ΔE_f of number 2 (Np2InPd2)?
-0.19 eV/atom